No. 1
Compound: Li2VOF4
Source: Materials Project
Functional: GGA+U
Structure: relaxed

Summary:
Piezoelectric modulus e_max   1.34 C/m2
ΔH_f (0 K)   -3.02 eV per atom
Crystal system   orthorhombic

Cell: 3.637 10.300 5.354 Å, 90.00 70.12 90.00°
Fractional positions:
O1 0.340 0.066 0.319
O2 0.660 0.566 0.681
F1 0.771 0.236 0.458
F2 0.945 0.891 0.109
F3 0.055 0.391 0.891
F4 0.964 0.626 0.073
F5 0.307 0.452 0.387
F6 0.229 0.736 0.542
F7 0.036 0.126 0.927
F8 0.693 0.952 0.613
V1 0.861 0.059 0.278
V2 0.139 0.559 0.721
Li1 0.820 0.748 0.361
Li2 0.867 0.422 0.267
Li3 0.133 0.922 0.733
Li4 0.180 0.248 0.639

---

No. 2
Compound: NaCr2BiO6
Source: Materials Project
Functional: GGA+U
Structure: relaxed

Summary:
ΔH_f (0 K)   -1.88 eV per atom
Crystal system   trigonal

Cell: 5.483 5.483 5.483 Å, 59.64 59.64 59.64°
Fractional positions:
O1 0.320 0.774 0.168
O2 0.774 0.168 0.320
O3 0.673 0.246 0.830
O4 0.246 0.830 0.673
O5 0.168 0.320 0.774
O6 0.830 0.673 0.246
Bi1 0.213 0.213 0.213
Cr1 0.989 0.989 0.989
Cr2 0.491 0.491 0.491
Na1 0.729 0.729 0.729

---

No. 3
Compound: Li9Mn2Co5O16
Source: Materials Project
Functional: GGA+U
Structure: relaxed

Summary:
ΔH_f (0 K)   -1.81 eV per atom
Crystal system   monoclinic

Cell: 6.660 6.660 15.301 Å, 87.67 87.67 24.98°
Fractional positions:
Co1 0.610 0.610 0.616
Co2 0.390 0.390 0.384
Co3 0.125 0.125 0.124
Co4 0.500 0.500 0.000
Co5 0.875 0.875 0.876
O1 0.475 0.475 0.599
O2 0.029 0.029 0.910
O3 0.525 0.525 0.401
O4 0.652 0.652 0.041
O5 0.156 0.156 0.538
O6 0.971 0.971 0.090
O7 0.892 0.892 0.285
O8 0.844 0.844 0.462
O9 0.720 0.720 0.833
O10 0.607 0.607 0.209
O11 0.108 0.108 0.715
O12 0.348 0.348 0.959
O13 0.393 0.393 0.791
O14 0.280 0.280 0.167
O15 0.780 0.780 0.670
O16 0.220 0.220 0.330
Li1 0.184 0.184 0.936
Li2 0.062 0.062 0.318
Li3 0.938 0.938 0.682
Li4 0.816 0.816 0.064
Li5 0.437 0.437 0.187
Li6 0.563 0.563 0.813
Li7 0.000 0.000 0.500
Li8 0.315 0.315 0.557
Li9 0.685 0.685 0.443
Mn1 0.753 0.753 0.251
Mn2 0.247 0.247 0.749

---

No. 4
Compound: Li2Ti3CoO8
Source: Materials Project
Functional: GGA+U
Structure: relaxed

Summary:
ΔH_f (0 K)   -2.88 eV per atom
Crystal system   cubic

Cell: 8.453 8.453 8.453 Å, 90.00 90.00 90.00°
Fractional positions:
Li1 0.251 0.749 0.249
Li2 0.749 0.249 0.251
Li3 0.999 0.001 0.501
Li4 0.501 0.999 0.001
Li5 0.751 0.751 0.751
Li6 0.001 0.501 0.999
Li7 0.499 0.499 0.499
Li8 0.249 0.251 0.749
O1 0.356 0.860 0.875
O2 0.612 0.112 0.388
O3 0.144 0.140 0.375
O4 0.388 0.612 0.112
O5 0.110 0.106 0.875
O6 0.606 0.625 0.890
O7 0.860 0.875 0.356
O8 0.640 0.125 0.856
O9 0.875 0.356 0.860
O10 0.360 0.625 0.644
O11 0.625 0.644 0.360
O12 0.125 0.610 0.394
O13 0.375 0.144 0.140
O14 0.625 0.890 0.606
O15 0.362 0.362 0.362
O16 0.638 0.862 0.138
O17 0.112 0.388 0.612
O18 0.862 0.138 0.638
O19 0.875 0.110 0.106
O20 0.375 0.390 0.894
O21 0.856 0.640 0.125
O22 0.125 0.856 0.640
O23 0.894 0.375 0.390
O24 0.390 0.894 0.375
O25 0.138 0.638 0.862
O26 0.890 0.606 0.625
O27 0.106 0.875 0.110
O28 0.644 0.360 0.625
O29 0.888 0.888 0.888
O30 0.140 0.375 0.144
O31 0.394 0.125 0.610
O32 0.610 0.394 0.125
Ti1 0.878 0.875 0.128
Ti2 0.375 0.372 0.122
Ti3 0.625 0.872 0.378
Ti4 0.128 0.878 0.875
Ti5 0.125 0.628 0.622
Ti6 0.622 0.125 0.628
Ti7 0.372 0.122 0.375
Ti8 0.378 0.625 0.872
Ti9 0.875 0.128 0.878
Ti10 0.872 0.378 0.625
Ti11 0.628 0.622 0.125
Ti12 0.122 0.375 0.372
Co1 0.875 0.625 0.375
Co2 0.125 0.125 0.125
Co3 0.625 0.375 0.875
Co4 0.375 0.875 0.625

---

No. 5
Compound: AlCoP2NO8
Source: Materials Project
Functional: GGA+U
Structure: relaxed

Summary:
ΔH_f (0 K)   -1.98 eV per atom
Crystal system   triclinic

Cell: 8.937 9.488 9.516 Å, 90.20 97.52 96.95°
Fractional positions:
N1 0.775 0.070 0.574
N2 0.275 0.574 0.071
N3 0.725 0.427 0.930
N4 0.226 0.929 0.427
O1 0.970 0.626 0.153
O2 0.979 0.944 0.175
O3 0.756 0.773 0.943
O4 0.474 0.408 0.671
O5 0.516 0.335 0.148
O6 0.802 0.456 0.288
O7 0.570 0.924 0.815
O8 0.531 0.848 0.372
O9 0.999 0.844 0.662
O10 0.962 0.671 0.412
O11 0.019 0.371 0.846
O12 0.466 0.166 0.938
O13 0.413 0.671 0.527
O14 0.700 0.714 0.542
O15 0.257 0.958 0.766
O16 0.037 0.329 0.589
O17 0.301 0.283 0.463
O18 0.188 0.547 0.717
O19 0.750 0.055 0.243
O20 0.020 0.055 0.826
O21 0.495 0.661 0.856
O22 0.088 0.819 0.923
O23 0.013 0.155 0.338
O24 0.472 0.149 0.634
O25 0.906 0.534 0.669
O26 0.581 0.319 0.458
O27 0.525 0.831 0.057
O28 0.415 0.079 0.181
O29 0.917 0.182 0.079
O30 0.247 0.245 0.052
O31 0.084 0.463 0.330
O32 0.542 0.586 0.327
Co1 0.053 0.212 0.949
Co2 0.391 0.575 0.693
Co3 0.948 0.788 0.051
Co4 0.557 0.952 0.214
Al1 0.893 0.694 0.575
Al2 0.441 0.052 0.787
Al3 0.109 0.307 0.427
Al4 0.608 0.421 0.305
P1 0.549 0.703 0.441
P2 0.588 0.799 0.918
P3 0.954 0.554 0.297
P4 0.411 0.206 0.078
P5 0.091 0.919 0.794
P6 0.914 0.083 0.208
P7 0.456 0.289 0.556
P8 0.039 0.444 0.704

---

No. 6
Compound: MgVW2O8
Source: Materials Project
Functional: GGA+U
Structure: relaxed

Summary:
ΔH_f (0 K)   -2.35 eV per atom
Crystal system   triclinic

Cell: 4.982 6.757 6.353 Å, 105.81 123.43 92.59°
Fractional positions:
O1 0.539 0.468 0.355
O2 0.197 0.636 0.828
O3 0.073 0.268 0.403
O4 0.038 0.824 0.347
O5 0.501 0.075 0.333
O6 0.711 0.987 0.884
O7 0.186 0.189 0.806
O8 0.752 0.356 0.825
W1 0.354 0.067 0.587
W2 0.890 0.389 0.604
V1 0.121 0.220 0.093
Mg1 0.596 0.865 0.092